# B8P2H18IrC8Cl, relaxed, DFT PBE
# DFT formation energy (eV/atom): 0.17
# Electronic total energy (eV/atom): -5.33
# Theoretical density (g/cm3): 1.49
# Magnetization (μB per cell): 16.0
data_B8P2H18IrC8Cl
_chemical_formula_sum 'B64 P16 H144 Ir8 C64 Cl8'
_cell_length_a 10.143
_cell_length_b 16.959
_cell_length_c 25.492
_cell_angle_alpha 90.00
_cell_angle_beta 90.82
_cell_angle_gamma 90.00
_symmetry_space_group_name_H-M 'P 1 21/c 1'
_symmetry_Int_Tables_number 14
_symmetry_space_group_name_Hall '-P 2ybc'
loop_
_atom_site_label
_atom_site_fract_x
_atom_site_fract_y
_atom_site_fract_z
B1 0.010 0.085 0.347
B2 0.035 0.699 0.076
B3 0.055 0.540 0.101
B4 0.060 0.114 0.414
B5 0.103 0.613 0.059
B6 0.131 0.600 0.384
B7 0.139 0.545 0.156
B8 0.180 0.680 0.102
B9 0.190 0.596 0.448
B10 0.212 0.578 0.100
B11 0.223 0.678 0.357
B12 0.247 0.578 0.343
B13 0.255 0.537 0.405
B14 0.353 0.596 0.440
B15 0.365 0.646 0.336
B16 0.403 0.563 0.375
P1 0.094 0.673 0.681
P2 0.205 0.219 0.299
P3 0.371 0.197 0.050
P4 0.415 0.665 0.899
H1 0.014 0.652 0.770
H2 0.025 0.567 0.622
H3 0.059 0.083 0.775
H4 0.106 0.570 0.747
H5 0.128 0.231 0.209
H6 0.133 0.131 0.230
H7 0.159 0.622 0.596
H8 0.162 0.236 0.538
H9 0.181 0.647 0.916
H10 0.189 0.552 0.647
H11 0.195 0.110 0.025
H12 0.205 0.245 0.606
H13 0.210 0.654 0.848
H14 0.232 0.140 0.780
H15 0.236 0.098 0.093
H16 0.251 0.565 0.882
H17 0.268 0.733 0.736
H18 0.280 0.171 0.567
H19 0.283 0.180 0.212
H20 0.297 0.214 0.959
H21 0.303 0.632 0.719
H22 0.310 0.095 0.328
H23 0.327 0.710 0.672
H24 0.335 0.172 0.833
H25 0.338 0.055 0.044
H26 0.376 0.197 0.767
H27 0.378 0.630 0.990
H28 0.380 0.179 0.360
H29 0.383 0.120 0.645
H30 0.420 0.159 0.294
H31 0.440 0.548 0.954
H32 0.449 0.159 0.965
H33 0.450 0.237 0.472
H34 0.451 0.124 0.524
H35 0.478 0.622 0.812
H36 0.495 0.544 0.859
Ir1 0.011 0.211 0.346
Ir2 0.431 0.698 0.404
C1 0.032 0.614 0.736
C2 0.119 0.596 0.632
C3 0.130 0.627 0.184
C4 0.145 0.687 0.410
C5 0.186 0.187 0.231
C6 0.243 0.232 0.567
C7 0.246 0.634 0.151
C8 0.248 0.629 0.885
C9 0.252 0.680 0.449
C10 0.264 0.689 0.704
C11 0.277 0.106 0.053
C12 0.295 0.188 0.794
C13 0.341 0.156 0.323
C14 0.393 0.210 0.980
C15 0.449 0.612 0.960
C16 0.489 0.108 0.648
Cl1 0.216 0.089 0.446
Cl2 0.474 0.512 0.639

***

# La3BCCl3, relaxed, DFT PBE
# DFT formation energy (eV/atom): -1.68
# Electronic total energy (eV/atom): -5.98
# Theoretical density (g/cm3): 5.15
# Magnetization (μB per cell): 0.1
data_La3BCCl3
_chemical_formula_sum 'La6 B2 C2 Cl6'
_cell_length_a 8.353
_cell_length_b 3.773
_cell_length_c 11.372
_cell_angle_alpha 90.00
_cell_angle_beta 100.84
_cell_angle_gamma 90.00
_symmetry_space_group_name_H-M 'P 1 21/m 1'
_symmetry_Int_Tables_number 11
_symmetry_space_group_name_Hall '-P 2yb'
loop_
_atom_site_label
_atom_site_fract_x
_atom_site_fract_y
_atom_site_fract_z
La1 0.107 0.250 0.313
La2 0.214 0.250 0.897
La3 0.292 0.750 0.612
B1 0.035 0.250 0.541
C1 0.107 0.250 0.681
Cl1 0.144 0.750 0.095
Cl2 0.406 0.750 0.376
Cl3 0.468 0.750 0.864

***

# GdCo2B2C, relaxed, DFT PBE
# DFT formation energy (eV/atom): -0.43
# Electronic total energy (eV/atom): -8.91
# Theoretical density (g/cm3): 7.87
# Magnetization (μB per cell): 14.1
data_GdCo2B2C
_chemical_formula_sum 'Gd2 Co4 B4 C2'
_cell_length_a 3.566
_cell_length_b 3.566
_cell_length_c 10.250
_cell_angle_alpha 90.00
_cell_angle_beta 90.00
_cell_angle_gamma 90.00
_symmetry_space_group_name_H-M 'I 4/m m m'
_symmetry_Int_Tables_number 139
_symmetry_space_group_name_Hall '-I 4 2'
loop_
_atom_site_label
_atom_site_fract_x
_atom_site_fract_y
_atom_site_fract_z
Gd1 0.000 0.000 0.000
Co1 0.000 0.500 0.250
B1 0.000 0.000 0.353
C1 0.000 0.000 0.500

***

Question: Which formula does entry 3 have?
Answer: GdCo2B2C